The following is a r2SCAN calculation of TbSi3Rh after structural relaxation, from the Materials Project.

Values from the calculation:
As for the energy of formation: -816 meV/atom. The calculation puts the total energy at -1.261 Ry/atom.

abc: 4.1586 4.1586 9.7558
angles: 90.00 90.00 90.00
Closest atoms and distances in Å follow each position.
Space group I4mm (No. 107)
Unique sites:
Tb: 0.0000 0.0000 0.0000 (multiplicity 2)  12 Si 3.05-3.32, 5 Rh 3.30-3.37
Si: 0.0000 0.0000 0.4162 (multiplicity 2)  1 Rh 2.32, 4 Si 2.55
Si: 0.0000 0.5000 0.2658 (multiplicity 4)  2 Rh 2.35, 2 Si 2.55
Rh: 0.0000 0.0000 0.6542 (multiplicity 2)  5 Si 2.32-2.35


The following is a r2SCAN calculation of SrY2O4 after structural relaxation, from the Materials Project.

Values from the calculation:
As for the energy of formation: -3648 meV/atom. The calculation puts the total energy at -1.105 Ry/atom.

abc: 10.0826 3.4091 11.9220
angles: 90.00 90.00 90.00
Closest atoms and distances in Å follow each position.
Space group Pnma (No. 62)
Unique sites:
Sr: 0.2468 0.2500 0.1497 (multiplicity 4)  8 O 2.61-2.88
Y: 0.0760 0.2500 0.3878 (multiplicity 4)  6 O 2.25-2.33
Y: 0.0777 0.2500 0.8897 (multiplicity 4)  6 O 2.21-2.36
O: 0.0159 0.7500 0.7838 (multiplicity 4)  3 Y 2.21-2.25
O: 0.0754 0.2500 0.5771 (multiplicity 4)  3 Y 2.26-2.33
O: 0.1253 0.7500 0.0202 (multiplicity 4)  3 Y 2.31-2.36
O: 0.2107 0.7500 0.3254 (multiplicity 4)  3 Y 2.27-2.30